Entry 1:
Density functional theory data (PBE) for a relaxed structure of Sb2AsAuXeF14.

Cell: 16.7016 8.4352 11.4157 Å, 90.00 90.00 90.00°
Atoms (fractional coordinates):
1 Sb 0.1113 0.2433 0.0000
2 Sb 0.1494 0.8530 0.7954
3 Sb 0.3506 0.3530 0.2954
4 Sb 0.3887 0.7433 0.5000
5 Sb 0.6113 0.2567 0.0000
6 Sb 0.6494 0.6470 0.7954
7 Sb 0.8506 0.1470 0.2954
8 Sb 0.8887 0.7567 0.5000
9 As 0.1444 0.8528 0.3032
10 As 0.3556 0.3528 0.8032
11 As 0.6444 0.6472 0.3032
12 As 0.8556 0.1472 0.8032
13 Au 0.1285 0.0860 0.4137
14 Au 0.3715 0.5860 0.9137
15 Au 0.6285 0.4140 0.4137
16 Au 0.8715 0.9140 0.9137
17 Xe 0.0943 0.3437 0.5395
18 Xe 0.4057 0.8437 0.0395
19 Xe 0.5943 0.1563 0.5395
20 Xe 0.9057 0.6563 0.0395
21 F 0.0132 0.1272 0.0046
22 F 0.0360 0.8773 0.8023
23 F 0.0727 0.8139 0.1988
24 F 0.0740 0.4064 0.1001
25 F 0.0765 0.3426 0.8596
26 F 0.1388 0.6748 0.3771
27 F 0.1454 0.6663 0.7031
28 F 0.1479 0.7455 0.9414
29 F 0.1520 0.1175 0.1259
30 F 0.1531 0.9917 0.6634
31 F 0.1543 0.0621 0.8935
32 F 0.2151 0.3332 0.9783
33 F 0.2289 0.8160 0.2213
34 F 0.2367 0.3576 0.3041
35 F 0.2633 0.8576 0.8041
36 F 0.2711 0.3160 0.7213
37 F 0.2849 0.8332 0.4783
38 F 0.3457 0.5621 0.3935
39 F 0.3469 0.4917 0.1634
40 F 0.3480 0.6175 0.6259
41 F 0.3521 0.2455 0.4414
42 F 0.3546 0.1663 0.2031
43 F 0.3612 0.1748 0.8771
44 F 0.4235 0.8426 0.3596
45 F 0.4260 0.9064 0.6001
46 F 0.4273 0.3139 0.6988
47 F 0.4640 0.3773 0.3023
48 F 0.4868 0.6272 0.5046
49 F 0.5132 0.3728 0.0046
50 F 0.5360 0.6227 0.8023
51 F 0.5727 0.6861 0.1988
52 F 0.5740 0.0936 0.1001
53 F 0.5765 0.1574 0.8596
54 F 0.6388 0.8252 0.3771
55 F 0.6454 0.8337 0.7031
56 F 0.6479 0.7545 0.9414
57 F 0.6520 0.3825 0.1259
58 F 0.6531 0.5083 0.6634
59 F 0.6543 0.4379 0.8935
60 F 0.7151 0.1668 0.9783
61 F 0.7289 0.6840 0.2213
62 F 0.7367 0.1424 0.3041
63 F 0.7633 0.6424 0.8041
64 F 0.7711 0.1840 0.7213
65 F 0.7849 0.6668 0.4783
66 F 0.8457 0.9379 0.3935
67 F 0.8469 0.0083 0.1634
68 F 0.8480 0.8825 0.6259
69 F 0.8521 0.2545 0.4414
70 F 0.8546 0.3337 0.2031
71 F 0.8612 0.3252 0.8771
72 F 0.9235 0.6574 0.3596
73 F 0.9260 0.5936 0.6001
74 F 0.9273 0.1861 0.6988
75 F 0.9640 0.1227 0.3023
76 F 0.9868 0.8728 0.5046

Values from the calculation:
ΔE_f: -2283 meV per atom
size of the total moment: 0.0 μB per cell

---

Entry 2:
Density functional theory data (PBE) for a relaxed structure of GdAs2Au.

Cell: 4.0466 4.0466 20.5042 Å, 90.00 90.00 89.86°
Atoms (fractional coordinates):
1 Gd 0.2372 0.7628 0.8828
2 Gd 0.2628 0.7372 0.3828
3 Gd 0.7372 0.2628 0.6172
4 Gd 0.7628 0.2372 0.1172
5 As 0.2273 0.2273 0.5000
6 As 0.2370 0.7630 0.6547
7 As 0.2630 0.7370 0.1547
8 As 0.2727 0.2727 0.0000
9 As 0.7273 0.7273 0.0000
10 As 0.7370 0.2630 0.8453
11 As 0.7630 0.2370 0.3453
12 As 0.7727 0.7727 0.5000
13 Au 0.2341 0.2659 0.7500
14 Au 0.2659 0.2341 0.2500
15 Au 0.7341 0.7659 0.7500
16 Au 0.7659 0.7341 0.2500

Values from the calculation:
ΔE_f: -756 meV per atom
size of the total moment: 27.7 μB per cell

---

Entry 3:
Density functional theory data (PBE) for a relaxed structure of GeAsAu.

Cell: 4.9434 4.9434 6.4159 Å, 111.24 111.24 79.99°
Atoms (fractional coordinates):
1 Ge 0.1866 0.1866 0.0801
2 Ge 0.8134 0.8134 0.9199
3 As 0.0564 0.5714 0.4139
4 As 0.4286 0.9436 0.5861
5 Au 0.1203 0.3829 0.7529
6 Au 0.6171 0.8797 0.2471

Values from the calculation:
ΔE_f: -78 meV per atom

---

Entry 4:
Density functional theory data (PBE) for a relaxed structure of K2AsAuI6.

Cell: 8.2545 8.2545 8.2545 Å, 60.00 60.00 60.00°
Atoms (fractional coordinates):
1 K 0.2500 0.2500 0.2500
2 K 0.7500 0.7500 0.7500
3 As 0.0000 0.0000 0.0000
4 Au 0.5000 0.5000 0.5000
5 I 0.2479 0.2479 0.7521
6 I 0.2479 0.7521 0.2479
7 I 0.2479 0.7521 0.7521
8 I 0.7521 0.2479 0.2479
9 I 0.7521 0.2479 0.7521
10 I 0.7521 0.7521 0.2479

Values from the calculation:
ΔE_f: -840 meV per atom
size of the total moment: 0.0 μB per cell

---

Entry 5:
Density functional theory data (PBE) for a relaxed structure of Rb2AsAuI6.

Cell: 8.2949 8.2949 8.2949 Å, 60.00 60.00 60.00°
Atoms (fractional coordinates):
1 Rb 0.2500 0.2500 0.2500
2 Rb 0.7500 0.7500 0.7500
3 As 0.0000 0.0000 0.0000
4 Au 0.5000 0.5000 0.5000
5 I 0.2478 0.2478 0.7522
6 I 0.2478 0.7522 0.2478
7 I 0.2478 0.7522 0.7522
8 I 0.7522 0.2478 0.2478
9 I 0.7522 0.2478 0.7522
10 I 0.7522 0.7522 0.2478

Values from the calculation:
ΔE_f: -877 meV per atom
size of the total moment: 0.0 μB per cell

---

Entry 6:
Density functional theory data (PBE) for a relaxed structure of NdAs2Au.

Cell: 20.8929 4.0981 4.1407 Å, 90.00 90.00 90.00°
Atoms (fractional coordinates):
1 Nd 0.1182 0.2500 0.2273
2 Nd 0.3818 0.7500 0.7273
3 Nd 0.6182 0.2500 0.2727
4 Nd 0.8818 0.7500 0.7727
5 As 0.0018 0.2500 0.7016
6 As 0.1580 0.7500 0.7274
7 As 0.3420 0.2500 0.2274
8 As 0.4982 0.7500 0.2016
9 As 0.5018 0.2500 0.7984
10 As 0.6580 0.7500 0.7726
11 As 0.8420 0.2500 0.2726
12 As 0.9982 0.7500 0.2984
13 Au 0.2502 0.2500 0.7248
14 Au 0.2498 0.7500 0.2248
15 Au 0.7502 0.2500 0.7752
16 Au 0.7498 0.7500 0.2752

Values from the calculation:
ΔE_f: -763 meV per atom

---

Entry 7:
Density functional theory data (PBE) for a relaxed structure of Nd10As8Au3O10.

Cell: 9.8718 9.8718 9.8718 Å, 124.03 124.03 83.14°
Atoms (fractional coordinates):
1 Nd 0.0300 0.4243 0.8046
2 Nd 0.1626 0.1626 0.0000
3 Nd 0.2255 0.0300 0.6057
4 Nd 0.3802 0.7745 0.8046
5 Nd 0.4243 0.6198 0.3943
6 Nd 0.5757 0.3802 0.6057
7 Nd 0.6198 0.2255 0.1954
8 Nd 0.7745 0.9700 0.3943
9 Nd 0.8374 0.8374 0.0000
10 Nd 0.9700 0.5757 0.1954
11 As 0.0921 0.7697 0.8618
12 As 0.2303 0.0921 0.3224
13 As 0.2524 0.3715 0.6239
14 As 0.3715 0.7476 0.1191
15 As 0.6285 0.2524 0.8809
16 As 0.7476 0.6285 0.3761
17 As 0.7697 0.9079 0.6776
18 As 0.9079 0.2303 0.1382
19 Au 0.0000 0.5000 0.5000
20 Au 0.5000 0.0000 0.5000
21 Au 0.5000 0.5000 0.0000
22 O 0.0483 0.1450 0.7021
23 O 0.1450 0.4430 0.0967
24 O 0.2500 0.7500 0.5000
25 O 0.3462 0.0483 0.9033
26 O 0.4430 0.3462 0.2979
27 O 0.5570 0.6538 0.7021
28 O 0.6538 0.9517 0.0967
29 O 0.7500 0.2500 0.5000
30 O 0.8550 0.5570 0.9033
31 O 0.9517 0.8550 0.2979

Values from the calculation:
ΔE_f: -2413 meV per atom
size of the total moment: 0.0 μB per cell

---

Entry 8:
Density functional theory data (PBE) for a relaxed structure of Sm10As8Au3O10.

Cell: 9.7353 9.7353 9.7353 Å, 123.81 123.81 83.52°
Atoms (fractional coordinates):
1 Sm 0.0290 0.4239 0.8045
2 Sm 0.1641 0.1641 0.0000
3 Sm 0.2245 0.0290 0.6051
4 Sm 0.3806 0.7755 0.8045
5 Sm 0.4239 0.6194 0.3949
6 Sm 0.5761 0.3806 0.6051
7 Sm 0.6194 0.2245 0.1955
8 Sm 0.7755 0.9710 0.3949
9 Sm 0.8359 0.8359 0.0000
10 Sm 0.9710 0.5761 0.1955
11 As 0.0907 0.7725 0.8633
12 As 0.2275 0.0907 0.3182
13 As 0.2519 0.3716 0.6235
14 As 0.3716 0.7481 0.1197
15 As 0.6284 0.2519 0.8803
16 As 0.7481 0.6284 0.3765
17 As 0.7725 0.9093 0.6818
18 As 0.9093 0.2275 0.1367
19 Au 0.0000 0.5000 0.5000
20 Au 0.5000 0.0000 0.5000
21 Au 0.5000 0.5000 0.0000
22 O 0.0483 0.1454 0.7020
23 O 0.1454 0.4434 0.0971
24 O 0.2500 0.7500 0.5000
25 O 0.3463 0.0483 0.9029
26 O 0.4434 0.3463 0.2980
27 O 0.5566 0.6537 0.7020
28 O 0.6537 0.9517 0.0971
29 O 0.7500 0.2500 0.5000
30 O 0.8546 0.5566 0.9029
31 O 0.9517 0.8546 0.2980

Values from the calculation:
ΔE_f: -2448 meV per atom
size of the total moment: 0.0 μB per cell

---

Entry 9:
Density functional theory data (PBE) for a relaxed structure of SmAs2Au.

Cell: 4.0681 4.0681 10.3190 Å, 90.00 90.00 90.00°
Atoms (fractional coordinates):
1 Sm 0.2500 0.2500 0.2333
2 Sm 0.7500 0.7500 0.7667
3 As 0.2500 0.2500 0.6876
4 As 0.2500 0.7500 0.0000
5 As 0.7500 0.2500 0.0000
6 As 0.7500 0.7500 0.3124
7 Au 0.2500 0.7500 0.5000
8 Au 0.7500 0.2500 0.5000

Values from the calculation:
ΔE_f: -756 meV per atom

---

Entry 10:
Density functional theory data (PBE) for a relaxed structure of SmAs2Au.

Cell: 5.7785 20.6853 5.7669 Å, 90.00 90.00 90.00°
Atoms (fractional coordinates):
1 Sm 0.0149 0.1175 0.2500
2 Sm 0.0149 0.3825 0.7500
3 Sm 0.4844 0.6170 0.7500
4 Sm 0.4844 0.8830 0.2500
5 Sm 0.5156 0.1170 0.7500
6 Sm 0.5156 0.3830 0.2500
7 Sm 0.9851 0.6175 0.2500
8 Sm 0.9851 0.8825 0.7500
9 As 0.0163 0.1575 0.7500
10 As 0.0163 0.3425 0.2500
11 As 0.2431 0.9995 0.5258
12 As 0.2431 0.9995 0.9742
13 As 0.2431 0.5005 0.0258
14 As 0.2431 0.5005 0.4742
15 As 0.4852 0.6563 0.2500
16 As 0.4852 0.8437 0.7500
17 As 0.5148 0.1563 0.2500
18 As 0.5148 0.3437 0.7500
19 As 0.7569 0.0005 0.0258
20 As 0.7569 0.0005 0.4742
21 As 0.7569 0.4995 0.5258
22 As 0.7569 0.4995 0.9742
23 As 0.9837 0.6575 0.7500
24 As 0.9837 0.8425 0.2500
25 Au 0.2321 0.7500 0.0000
26 Au 0.2321 0.7500 0.5000
27 Au 0.2693 0.2500 0.0000
28 Au 0.2693 0.2500 0.5000
29 Au 0.7307 0.7500 0.0000
30 Au 0.7307 0.7500 0.5000
31 Au 0.7679 0.2500 0.0000
32 Au 0.7679 0.2500 0.5000

Values from the calculation:
ΔE_f: -758 meV per atom
size of the total moment: 0.0 μB per cell

---

Entry 11:
Density functional theory data (PBE) for a relaxed structure of SmAs2Au.

Cell: 20.6020 4.0906 4.1079 Å, 90.00 90.00 90.00°
Atoms (fractional coordinates):
1 Sm 0.1175 0.2500 0.2277
2 Sm 0.3825 0.7500 0.7277
3 Sm 0.6175 0.2500 0.2723
4 Sm 0.8825 0.7500 0.7723
5 As 0.0016 0.2500 0.7046
6 As 0.1560 0.7500 0.7272
7 As 0.3440 0.2500 0.2272
8 As 0.4984 0.7500 0.2046
9 As 0.5016 0.2500 0.7954
10 As 0.6560 0.7500 0.7728
11 As 0.8440 0.2500 0.2728
12 As 0.9984 0.7500 0.2954
13 Au 0.2497 0.2500 0.7234
14 Au 0.2503 0.7500 0.2234
15 Au 0.7497 0.2500 0.7766
16 Au 0.7503 0.7500 0.2766

Values from the calculation:
ΔE_f: -759 meV per atom
size of the total moment: 0.0 μB per cell

---

Entry 12:
Density functional theory data (PBE) for a relaxed structure of SmAs2Au.

Cell: 4.0819 4.0819 20.6853 Å, 90.00 90.00 90.12°
Atoms (fractional coordinates):
1 Sm 0.2347 0.7653 0.8827
2 Sm 0.2653 0.7347 0.3827
3 Sm 0.7347 0.2653 0.6173
4 Sm 0.7653 0.2347 0.1173
5 As 0.2242 0.2242 0.5000
6 As 0.2344 0.7656 0.6569
7 As 0.2656 0.7344 0.1569
8 As 0.2758 0.2758 0.0000
9 As 0.7242 0.7242 0.0000
10 As 0.7344 0.2656 0.8431
11 As 0.7656 0.2344 0.3431
12 As 0.7758 0.7758 0.5000
13 Au 0.2314 0.2686 0.7500
14 Au 0.2686 0.2314 0.2500
15 Au 0.7314 0.7686 0.7500
16 Au 0.7686 0.7314 0.2500

Values from the calculation:
ΔE_f: -758 meV per atom